Crystalline NbWNO6 at its relaxed geometry, computed with GGA+U.

Computed properties:
DFT formation energy	-1.46	eV per atom
crystal system	monoclinic
space-group type	No. 8

Cell lengths 7.4784, 7.4784, 7.6032 Å; angles 120.46, 120.46, 59.44 degrees
With the nearest neighbours (Å) after each atom.
Element x y z (fractional)
Nb  0.0000  0.0000  0.0000  6 O 1.94-2.08
Nb  0.0035  0.0035  0.5135  6 O 1.98-2.03
W  0.0057  0.5050  0.0132  6 O 1.92-1.94
W  0.5050  0.0057  0.0132  6 O 1.92-1.94
N  0.3297  0.3297  0.5059  5 O 2.83-3.11
N  0.6204  0.6204  0.3569  8 O 3.26-3.65
O  0.0653  0.6930  0.9592  1 W 1.94, 1 Nb 1.97
O  0.0655  0.6929  0.3139  1 W 1.94, 1 Nb 1.99
O  0.0673  0.0673  0.3247  2 Nb 2.03-2.08
O  0.3112  0.3112  0.0680  2 W 1.94
O  0.3185  0.9448  0.7123  1 W 1.93, 1 Nb 2.01
O  0.3185  0.9446  0.0655  1 W 1.92, 1 Nb 2.02
O  0.6930  0.0653  0.9592  1 W 1.94, 1 Nb 1.97
O  0.6929  0.0655  0.3139  1 W 1.94, 1 Nb 1.99
O  0.7007  0.7007  0.9584  2 W 1.94
O  0.9448  0.3185  0.7123  1 W 1.93, 1 Nb 2.01
O  0.9446  0.3185  0.0655  1 W 1.92, 1 Nb 2.02
O  0.9453  0.9453  0.7024  2 Nb 1.94-1.98